An optimized crystal structure of Mg2SiO4. Source: the Materials Project, functional PBE-GGA.

As for the magnetic moment: 0.0 μB/f.u. The calculation puts the energy of formation at -3081 meV/atom. As for the final energy: -47.2 eV per formula unit. The calculation puts the relative energy among the computed polymorphs at 141 meV/atom.

Lattice parameters (Å, degrees): 4.8003 6.0809 10.4807 90.00 90.08 90.00
Last column: nearest neighbours and their distance in Å.
Space group P2/m (No. 10)
One atom of each set of equivalent atoms:
Mg: 0.0000 0.0000 0.0000 (multiplicity 1)  6 O 2.32-2.33
Mg: 0.0000 0.0000 0.5000 (multiplicity 1)  6 O 2.10
Mg: 0.0000 0.5000 0.0000 (multiplicity 1)  6 O 2.02-2.13
Mg: 0.0026 0.2569 0.7415 (multiplicity 4)  6 O 2.05-2.14
Mg: 0.5000 0.5000 0.5000 (multiplicity 1)  6 O 2.24-2.26
Si: 0.4073 0.5000 0.1652 (multiplicity 2)  4 O 1.62-1.69
Si: 0.4182 0.0000 0.6693 (multiplicity 2)  4 O 1.62-1.68
O: 0.2418 0.2851 0.0972 (multiplicity 4)  1 Si 1.69
O: 0.2433 0.0000 0.3331 (multiplicity 2)  1 Si 1.62
O: 0.2441 0.0000 0.8085 (multiplicity 2)  1 Si 1.68
O: 0.2549 0.5000 0.8336 (multiplicity 2)  1 Si 1.62
O: 0.2720 0.5000 0.3134 (multiplicity 2)  1 Si 1.68
O: 0.2753 0.2159 0.5935 (multiplicity 4)  1 Si 1.68

An optimized crystal structure of MgSi8O16. Source: the Materials Project, functional PBE-GGA.

As for the magnetic moment: 0.0 μB/f.u. The calculation puts the energy of formation at -3061 meV/atom. As for the final energy: -189.7 eV per formula unit.

Lattice parameters (Å, degrees): 7.1970 7.1973 8.9285 90.00 90.00 90.00
Last column: nearest neighbours and their distance in Å.
Space group Pmmm (No. 47)
One atom of each set of equivalent atoms:
Mg: 0.0000 0.0000 0.0000 (multiplicity 1)  16 O 3.90-4.11, 8 Si 4.24
Si: 0.2190 0.5000 0.3199 (multiplicity 4)  4 O 1.62-1.63
Si: 0.5000 0.2187 0.1800 (multiplicity 4)  4 O 1.62-1.63
O: 0.0000 0.5000 0.2778 (multiplicity 2)  2 Si 1.62
O: 0.2478 0.5000 0.5000 (multiplicity 2)  2 Si 1.62
O: 0.3141 0.3141 0.2501 (multiplicity 8)  2 Si 1.63
O: 0.5000 0.0000 0.2227 (multiplicity 2)  2 Si 1.62
O: 0.5000 0.2486 0.0000 (multiplicity 2)  2 Si 1.62

An optimized crystal structure of MgSiO3. Source: the Materials Project, functional PBE-GGA.

As for the magnetic moment: 0.0 μB/f.u. The calculation puts the energy of formation at -2937 meV/atom. As for the final energy: -34.5 eV per formula unit.

Lattice parameters (Å, degrees): 7.7939 11.4084 6.2128 90.00 110.67 90.00
Last column: nearest neighbours and their distance in Å.
Space group P2_1/c (No. 14)
One atom of each set of equivalent atoms:
Mg: 0.1416 0.1844 0.4070 (multiplicity 4)  4 O 1.97-2.00
Mg: 0.2297 0.5420 0.4187 (multiplicity 4)  3 O 1.93-2.00
Si: 0.1182 0.6035 0.8316 (multiplicity 4)  4 O 1.60-1.77
Si: 0.4990 0.1237 0.3088 (multiplicity 4)  3 O 1.56-1.63
O: 0.0350 0.0297 0.2772 (multiplicity 4)  1 Si 1.64
O: 0.0470 0.1927 0.6662 (multiplicity 4)  1 Si 1.64
O: 0.2265 0.6423 0.6678 (multiplicity 4)  1 Si 1.60
O: 0.2811 0.5994 0.1148 (multiplicity 4)  2 Si 1.63-1.77
O: 0.3913 0.0928 0.0498 (multiplicity 4)  1 Si 1.57
O: 0.4060 0.1563 0.4864 (multiplicity 4)  1 Si 1.56